## YFe10Si2 (GGA-PBE)

Data for a relaxed YFe10Si2 crystal.

Summary:
calculated formation energy = -23 kJ/mol of atoms

a = 4.7516 Å, b = 6.3519 Å, c = 6.3519 Å
α = 98.38°, β = 111.96°, γ = 68.04°
Atoms (fractional coordinates):
Fe1 0.6384 0.3616 0.6384
Fe2 0.0000 0.3549 0.3549
Fe3 0.5000 0.5000 0.0000
Fe4 0.3616 0.6384 0.3616
Fe5 0.0000 0.0000 0.5000
Fe6 0.5000 0.0000 0.5000
Fe7 0.5000 0.2103 0.2103
Fe8 0.0000 0.5000 0.0000
Si1 0.7356 0.7644 0.2356
Y1 0.0000 0.0000 0.0000
Fe9 0.0000 0.6451 0.6451
Fe10 0.5000 0.7897 0.7897
Si2 0.2644 0.2356 0.7644